Computed, not measured: crystalline BaSi2N2O2 at its relaxed geometry at the PBE level of DFT.

Summary:
Energy of formation (meV per atom): -2238.5
Magnetic moment (μB per formula unit): 0.00

a b c (Å): 4.880 5.404 14.561
angles (deg): 90.00 90.00 90.00
Fractional coordinates of all 28 atoms:
Ba1 0.750 0.254 0.500
N1 0.846 0.631 0.222
O1 0.251 0.734 0.093
Si1 0.699 0.840 0.300
Si2 0.699 0.340 0.200
O2 0.749 0.766 0.593
O3 0.751 0.766 0.407
N2 0.346 0.369 0.222
N3 0.654 0.131 0.722
Ba2 0.250 0.746 0.500
Si3 0.801 0.340 0.800
Si4 0.301 0.160 0.700
Ba3 0.250 0.246 0.000
N4 0.846 0.131 0.278
N5 0.154 0.369 0.778
Si5 0.801 0.840 0.700
Si6 0.301 0.660 0.800
O4 0.251 0.234 0.407
Si7 0.199 0.160 0.300
O5 0.249 0.734 0.907
O6 0.749 0.266 0.907
O7 0.751 0.266 0.093
Si8 0.199 0.660 0.200
N6 0.346 0.869 0.278
N7 0.654 0.631 0.778
Ba4 0.750 0.754 0.000
O8 0.249 0.234 0.593
N8 0.154 0.869 0.722